Record 1
This record from the Materials Project database describes a relaxed structure of MgNiP2O7. The functional is PBE with a Hubbard U.

Output
Relative energy among the computed polymorphs   132 meV/atom

Unit cell a=5.0465 b=5.5425 c=5.6806 alpha=73.91 beta=70.59 gamma=84.19
With the nearest neighbours (Å) after each atom.
Positions (direct):
Mg: 0.0000 0.0000 0.0000  5 O 1.96-2.19
Ni: 0.8137 0.8780 0.6000  5 O 1.96-2.17
P: 0.3084 0.5090 0.7897  4 O 1.51-1.66
P: 0.4518 0.1029 0.1576  4 O 1.52-1.61
O: 0.0894 0.7243 0.8296  1 P 1.55
O: 0.1803 0.9474 0.2821  1 P 1.54
O: 0.1848 0.2987 0.7381  1 P 1.51
O: 0.3538 0.3914 0.0769  2 P 1.61-1.66
O: 0.5973 0.5991 0.6075  1 P 1.52
O: 0.6321 0.0221 0.9114  1 P 1.55
O: 0.6496 0.0920 0.3130  1 P 1.52

***

Record 2
This record from the Materials Project database describes a relaxed structure of Co3O2F4. The functional is PBE with a Hubbard U.

Output
Relative energy among the computed polymorphs   63 meV/atom

Unit cell a=4.6356 b=4.6399 c=9.3306 alpha=89.08 beta=89.61 gamma=89.83
With the nearest neighbours (Å) after each atom.
Positions (direct):
Co: 0.0000 0.0000 0.0000  2 O 1.97-2.00, 4 F 2.06-2.12
Co: 0.0274 0.0242 0.6674  2 O 1.97-2.02, 4 F 2.02-2.11
Co: 0.0606 0.0566 0.3434  2 O 1.88-1.91, 3 F 1.98-2.07
Co: 0.4844 0.5604 0.4959  2 O 1.81-1.95, 1 F 2.02
Co: 0.5368 0.5342 0.1696  2 O 1.79-1.96, 1 F 2.00
Co: 0.5634 0.4917 0.8458  2 O 1.78-1.98
O: 0.2305 0.8566 0.5029  3 Co 1.81-1.97
O: 0.3401 0.3481 0.3324  3 Co 1.88-1.96
O: 0.7098 0.6929 0.0160  3 Co 1.79-1.98
O: 0.8212 0.2084 0.8341  1 Co 1.78
F: 0.2192 0.8265 0.1722  3 Co 2.00-2.07
F: 0.2411 0.7994 0.8346  3 Co 2.07-2.12
F: 0.3215 0.3065 0.0079  3 Co 2.06-2.11
F: 0.3248 0.3428 0.6676  3 Co 2.02-2.13
F: 0.7200 0.7176 0.6675  3 Co 2.02-2.09
F: 0.7369 0.7515 0.3396  3 Co 2.06-2.11
F: 0.8143 0.2587 0.5060  3 Co 2.07-2.12
F: 0.8409 0.2182 0.1792  3 Co 1.98-2.10

***

Record 3
This record from the Materials Project database describes a relaxed structure of MgFeAgO2. The functional is PBE with a Hubbard U.

Output
Relative energy among the computed polymorphs   15 meV/atom

Unit cell a=3.3033 b=3.3033 c=8.7867 alpha=100.05 beta=100.05 gamma=59.73
With the nearest neighbours (Å) after each atom.
Positions (direct):
Mg: 0.0000 0.0000 0.0000  3 O 1.90-1.91
Fe: 0.8395 0.8395 0.6091  3 O 1.94
Ag: 0.4208 0.4208 0.3101  1 O 2.57
O: 0.3355 0.3355 0.0110  3 Mg 1.90-1.91
O: 0.5200 0.5200 0.6505  3 Fe 1.94

***

Record 4
This record from the Materials Project database describes a relaxed structure of Y3VH3O8. The functional is PBE with a Hubbard U.

Output
VASP energy   -229.4 eV for the cell shown

Unit cell a=5.6095 b=10.4307 c=5.9840 alpha=90.00 beta=105.06 gamma=90.00
With the nearest neighbours (Å) after each atom.
Positions (direct):
Y: 0.1850 0.0402 0.3056  7 O 2.24-2.49
Y: 0.1850 0.4598 0.3056  7 O 2.24-2.49
Y: 0.2672 0.2500 0.7987  8 O 2.37-2.53
Y: 0.7328 0.7500 0.2013  8 O 2.37-2.53
Y: 0.8150 0.5402 0.6944  7 O 2.24-2.49
Y: 0.8150 0.9598 0.6944  7 O 2.24-2.49
V: 0.3151 0.7500 0.5377  3 O 1.74-1.94
V: 0.6849 0.2500 0.4623  3 O 1.74-1.94
H: 0.1153 0.7500 0.9086  1 O 0.98
H: 0.3446 0.5376 0.9023  1 O 0.97
H: 0.3446 0.9624 0.9023  1 O 0.97
H: 0.6554 0.0376 0.0977  1 O 0.97
H: 0.6554 0.4624 0.0977  1 O 0.97
H: 0.8847 0.2500 0.0914  1 O 0.98
O: 0.0431 0.6297 0.4600  1 V 1.94
O: 0.0431 0.8703 0.4600  1 V 1.94
O: 0.0641 0.2500 0.1088  1 H 0.98
O: 0.2274 0.0234 0.9368  1 H 0.97
O: 0.2274 0.4766 0.9368  1 H 0.97
O: 0.4344 0.7500 0.8365  1 V 1.74, 1 H 1.95
O: 0.4994 0.6243 0.4013  1 V 1.97
O: 0.4994 0.8757 0.4013  1 V 1.97
O: 0.5006 0.1243 0.5987  1 V 1.97
O: 0.5006 0.3757 0.5987  1 V 1.97
O: 0.5656 0.2500 0.1635  1 V 1.74, 1 H 1.95
O: 0.7726 0.5234 0.0632  1 H 0.97
O: 0.7726 0.9766 0.0632  1 H 0.97
O: 0.9359 0.7500 0.8912  1 H 0.98
O: 0.9569 0.1297 0.5400  1 V 1.94
O: 0.9569 0.3703 0.5400  1 V 1.94

***

Record 5
This record from the Materials Project database describes a relaxed structure of BaLaMgNiRuO6. The functional is PBE with a Hubbard U.

Output
VASP energy   -70.8 eV for the cell shown

Unit cell a=5.8369 b=5.9076 c=5.9681 alpha=93.83 beta=114.93 gamma=119.45
With the nearest neighbours (Å) after each atom.
Positions (direct):
Ba: 0.0000 0.0000 0.0000  5 O 2.65-2.96
La: 0.8728 0.4500 0.3311  6 O 2.45-2.52
Mg: 0.5574 0.7771 0.3537  3 O 1.96-1.98
Ni: 0.2560 0.6404 0.8729  3 O 1.90-1.94
Ru: 0.4579 0.2434 0.7018  6 O 2.02-2.10
O: 0.3649 0.4834 0.4849  1 Mg 1.97, 1 Ru 2.10
O: 0.4434 0.4431 0.9928  1 Ni 1.94, 1 Ru 2.09
O: 0.5206 0.0236 0.9368  1 Ni 1.90, 1 Ru 2.02
O: 0.5264 0.0871 0.4394  1 Mg 1.98, 1 Ru 2.04
O: 0.9267 0.5132 0.9438  1 Ni 1.94, 1 Ru 2.05
O: 0.9883 0.9173 0.4802  1 Mg 1.96, 1 Ru 2.09

***

Repeat the second record exactly.
This record from the Materials Project database describes a relaxed structure of Co3O2F4. The functional is PBE with a Hubbard U.

Output
Relative energy among the computed polymorphs   63 meV/atom

Unit cell a=4.6356 b=4.6399 c=9.3306 alpha=89.08 beta=89.61 gamma=89.83
With the nearest neighbours (Å) after each atom.
Positions (direct):
Co: 0.0000 0.0000 0.0000  2 O 1.97-2.00, 4 F 2.06-2.12
Co: 0.0274 0.0242 0.6674  2 O 1.97-2.02, 4 F 2.02-2.11
Co: 0.0606 0.0566 0.3434  2 O 1.88-1.91, 3 F 1.98-2.07
Co: 0.4844 0.5604 0.4959  2 O 1.81-1.95, 1 F 2.02
Co: 0.5368 0.5342 0.1696  2 O 1.79-1.96, 1 F 2.00
Co: 0.5634 0.4917 0.8458  2 O 1.78-1.98
O: 0.2305 0.8566 0.5029  3 Co 1.81-1.97
O: 0.3401 0.3481 0.3324  3 Co 1.88-1.96
O: 0.7098 0.6929 0.0160  3 Co 1.79-1.98
O: 0.8212 0.2084 0.8341  1 Co 1.78
F: 0.2192 0.8265 0.1722  3 Co 2.00-2.07
F: 0.2411 0.7994 0.8346  3 Co 2.07-2.12
F: 0.3215 0.3065 0.0079  3 Co 2.06-2.11
F: 0.3248 0.3428 0.6676  3 Co 2.02-2.13
F: 0.7200 0.7176 0.6675  3 Co 2.02-2.09
F: 0.7369 0.7515 0.3396  3 Co 2.06-2.11
F: 0.8143 0.2587 0.5060  3 Co 2.07-2.12
F: 0.8409 0.2182 0.1792  3 Co 1.98-2.10